Below is crystalline La5Ir3 at its relaxed geometry, with properties calculated at the r²SCAN level.

Computed properties:
Calculated density = 9.74 g/cm3
Crystal system = tetragonal
Energy of formation = -761 meV per atom

abc: 11.435 11.435 6.631
angles: 90.00 90.00 90.00
Atoms (fractional coordinates):
La: 0.043 0.157 0.101
La: 0.043 0.343 0.601
La: 0.157 0.043 0.601
La: 0.157 0.457 0.101
La: 0.250 0.750 0.000
La: 0.250 0.750 0.500
La: 0.343 0.043 0.101
La: 0.343 0.457 0.601
La: 0.457 0.157 0.601
La: 0.457 0.343 0.101
La: 0.543 0.657 0.899
La: 0.543 0.843 0.399
La: 0.657 0.543 0.399
La: 0.657 0.957 0.899
La: 0.750 0.250 0.000
La: 0.750 0.250 0.500
La: 0.843 0.543 0.899
La: 0.843 0.957 0.399
La: 0.957 0.657 0.399
La: 0.957 0.843 0.899
Ir: 0.096 0.596 0.750
Ir: 0.096 0.904 0.250
Ir: 0.250 0.250 0.367
Ir: 0.250 0.250 0.867
Ir: 0.404 0.596 0.250
Ir: 0.404 0.904 0.750
Ir: 0.596 0.096 0.250
Ir: 0.596 0.404 0.750
Ir: 0.750 0.750 0.133
Ir: 0.750 0.750 0.633
Ir: 0.904 0.096 0.750
Ir: 0.904 0.404 0.250